Nd2Fe: optimized geometry, PBE.

Summary:
Formation energy from the elements = 0.36 eV/atom
Uncorrected energy = -5.64 eV/atom

Unit cell a=7.3507 b=7.3507 c=7.3507 alpha=41.78 beta=41.78 gamma=41.78
Positions (direct):
Nd 0.0000 0.0000 0.0000
Nd 0.2438 0.2438 0.2438
Nd 0.5000 0.5000 0.5000
Nd 0.7562 0.7562 0.7562
Fe 0.3677 0.3677 0.3677
Fe 0.6323 0.6323 0.6323

Nd3Fe29: optimized geometry, PBE.

Summary:
Formation energy from the elements = 0.04 eV/atom
Uncorrected energy = -8.08 eV/atom

Unit cell a=6.4794 b=6.4794 c=10.5100 alpha=94.60 beta=94.60 gamma=82.94
Positions (direct):
Nd 0.0000 0.0000 0.0000
Nd 0.1866 0.1866 0.5993
Nd 0.8134 0.8134 0.4007
Fe 0.0000 0.5000 0.0000
Fe 0.0955 0.0955 0.2910
Fe 0.0971 0.5911 0.8024
Fe 0.1343 0.6837 0.1961
Fe 0.1696 0.4603 0.3751
Fe 0.1889 0.6838 0.5962
Fe 0.2802 0.2802 0.8937
Fe 0.2918 0.2918 0.1400
Fe 0.3162 0.8111 0.4038
Fe 0.3163 0.8657 0.8039
Fe 0.3601 0.6399 0.0000
Fe 0.4089 0.9029 0.1976
Fe 0.4603 0.1696 0.3751
Fe 0.4790 0.4790 0.7472
Fe 0.5000 0.0000 0.0000
Fe 0.5000 0.5000 0.5000
Fe 0.5210 0.5210 0.2528
Fe 0.5397 0.8304 0.6249
Fe 0.5911 0.0971 0.8024
Fe 0.6399 0.3601 0.0000
Fe 0.6837 0.1343 0.1961
Fe 0.6838 0.1889 0.5962
Fe 0.7082 0.7082 0.8600
Fe 0.7198 0.7198 0.1063
Fe 0.8111 0.3162 0.4038
Fe 0.8304 0.5397 0.6249
Fe 0.8657 0.3163 0.8039
Fe 0.9029 0.4089 0.1976
Fe 0.9045 0.9045 0.7090

NdFe2: optimized geometry, PBE.

Summary:
Formation energy from the elements = 0.08 eV/atom
Uncorrected energy = -7.16 eV/atom

Unit cell a=5.2639 b=5.2639 c=5.2639 alpha=60.00 beta=60.00 gamma=60.00
Positions (direct):
Nd 0.1250 0.1250 0.1250
Nd 0.8750 0.8750 0.8750
Fe 0.0000 0.5000 0.5000
Fe 0.5000 0.0000 0.5000
Fe 0.5000 0.5000 0.0000
Fe 0.5000 0.5000 0.5000

NdFeSi2Os: optimized geometry, PBE.

Summary:
Formation energy from the elements = -0.65 eV/atom
Uncorrected energy = -7.71 eV/atom

Unit cell a=5.7334 b=5.7334 c=5.7334 alpha=138.09 beta=138.09 gamma=60.76
Positions (direct):
Nd 0.0000 0.0000 0.0000
Fe 0.2500 0.7500 0.5000
Si 0.3663 0.3663 0.0000
Si 0.6337 0.6337 0.0000
Os 0.7500 0.2500 0.5000

NdFe4P12: optimized geometry, PBE.

Summary:
Formation energy from the elements = -0.59 eV/atom
Uncorrected energy = -6.69 eV/atom

Unit cell a=6.7645 b=6.7645 c=6.7645 alpha=109.47 beta=109.47 gamma=109.47
Positions (direct):
Nd 0.0000 0.0000 0.0000
Fe 0.0000 0.0000 0.5000
Fe 0.0000 0.5000 0.0000
Fe 0.5000 0.0000 0.0000
Fe 0.5000 0.5000 0.5000
P 0.1516 0.5047 0.3531
P 0.1516 0.7984 0.6469
P 0.2016 0.3531 0.8484
P 0.3531 0.1516 0.5047
P 0.3531 0.8484 0.2016
P 0.4953 0.6469 0.8484
P 0.5047 0.3531 0.1516
P 0.6469 0.1516 0.7984
P 0.6469 0.8484 0.4953
P 0.7984 0.6469 0.1516
P 0.8484 0.2016 0.3531
P 0.8484 0.4953 0.6469

Nd2Fe12P7: optimized geometry, PBE.

Summary:
Formation energy from the elements = -0.65 eV/atom
Uncorrected energy = -7.74 eV/atom

Unit cell a=9.0456 b=9.0456 c=3.6766 alpha=90.00 beta=90.00 gamma=120.00
Positions (direct):
Nd 0.0000 0.0000 0.0000
Nd 0.3333 0.6667 0.5000
Fe 0.0375 0.7588 0.5000
Fe 0.0974 0.3812 0.0000
Fe 0.2412 0.2787 0.5000
Fe 0.2838 0.9026 0.0000
Fe 0.4510 0.2362 0.0000
Fe 0.5138 0.0603 0.5000
Fe 0.5465 0.4862 0.5000
Fe 0.6188 0.7162 0.0000
Fe 0.7213 0.9625 0.5000
Fe 0.7638 0.2147 0.0000
Fe 0.7853 0.5490 0.0000
Fe 0.9397 0.4535 0.5000
P 0.0632 0.6225 0.0000
P 0.2611 0.0365 0.5000
P 0.3775 0.4408 0.0000
P 0.5592 0.9368 0.0000
P 0.6667 0.3333 0.5000
P 0.7754 0.7389 0.5000
P 0.9635 0.2246 0.5000

Nd6Fe13Pb: optimized geometry, PBE.

Summary:
Formation energy from the elements = -0.07 eV/atom
Uncorrected energy = -7.19 eV/atom

Unit cell a=13.0842 b=13.0842 c=13.0842 alpha=143.99 beta=143.99 gamma=51.84
Positions (direct):
Nd 0.0216 0.5216 0.1746
Nd 0.1041 0.1041 0.0000
Nd 0.1529 0.9784 0.5000
Nd 0.3471 0.8471 0.8254
Nd 0.3959 0.3959 0.0000
Nd 0.4784 0.6529 0.5000
Nd 0.5216 0.3471 0.5000
Nd 0.6041 0.6041 0.0000
Nd 0.6529 0.1529 0.1746
Nd 0.8471 0.0216 0.5000
Nd 0.8959 0.8959 0.0000
Nd 0.9784 0.4784 0.8254
Fe 0.0000 0.5000 0.5000
Fe 0.0201 0.2929 0.5000
Fe 0.0665 0.2103 0.2768
Fe 0.1202 0.6202 0.8575
Fe 0.2071 0.4799 0.5000
Fe 0.2103 0.9335 0.1438
Fe 0.2373 0.7373 0.8575
Fe 0.2627 0.1202 0.5000
Fe 0.2897 0.4335 0.7232
Fe 0.2929 0.7929 0.2728
Fe 0.3798 0.2373 0.5000
Fe 0.4335 0.7103 0.1438
Fe 0.4799 0.9799 0.2728
Fe 0.5000 0.0000 0.5000
Fe 0.5201 0.0201 0.7272
Fe 0.5665 0.2897 0.8562
Fe 0.6202 0.7627 0.5000
Fe 0.7071 0.2071 0.7272
Fe 0.7103 0.5665 0.2768
Fe 0.7373 0.8798 0.5000
Fe 0.7627 0.2627 0.1425
Fe 0.7897 0.0665 0.8562
Fe 0.7929 0.5201 0.5000
Fe 0.8798 0.3798 0.1425
Fe 0.9335 0.7897 0.7232
Fe 0.9799 0.7071 0.5000
Pb 0.2500 0.2500 0.0000
Pb 0.7500 0.7500 0.0000

Nd2FeSi2Ru: optimized geometry, PBE.

Summary:
Formation energy from the elements = -0.66 eV/atom
Uncorrected energy = -7.01 eV/atom

Unit cell a=4.1656 b=4.1656 c=6.9522 alpha=90.00 beta=90.00 gamma=90.00
Positions (direct):
Nd 0.0000 0.5000 0.1818
Nd 0.5000 0.0000 0.8182
Fe 0.0000 0.0000 0.5000
Si 0.0000 0.5000 0.6709
Si 0.5000 0.0000 0.3291
Ru 0.5000 0.5000 0.5000

Nd3Fe3Sb7: optimized geometry, PBE.

Summary:
Formation energy from the elements = -0.65 eV/atom
Uncorrected energy = -5.83 eV/atom

Unit cell a=13.3055 b=13.3055 c=4.2286 alpha=90.00 beta=90.00 gamma=120.00
Positions (direct):
Nd 0.1831 0.4616 0.2500
Nd 0.2785 0.8169 0.2500
Nd 0.4616 0.2785 0.7500
Nd 0.5384 0.7215 0.2500
Nd 0.7215 0.1831 0.7500
Nd 0.8169 0.5384 0.7500
Fe 0.0516 0.9261 0.2500
Fe 0.0739 0.1255 0.2500
Fe 0.1255 0.0516 0.7500
Fe 0.8745 0.9484 0.2500
Fe 0.9261 0.8745 0.7500
Fe 0.9484 0.0739 0.7500
Sb 0.0232 0.5895 0.2500
Sb 0.0827 0.8095 0.7500
Sb 0.1905 0.2732 0.7500
Sb 0.2732 0.0827 0.2500
Sb 0.3333 0.6667 0.7500
Sb 0.4105 0.4337 0.2500
Sb 0.4337 0.0232 0.7500
Sb 0.5663 0.9768 0.2500
Sb 0.5895 0.5663 0.7500
Sb 0.6667 0.3333 0.2500
Sb 0.7268 0.9173 0.7500
Sb 0.8095 0.7268 0.2500
Sb 0.9173 0.1905 0.2500
Sb 0.9768 0.4105 0.7500

Nd2Fe14Si3: optimized geometry, PBE.

Summary:
Formation energy from the elements = -0.09 eV/atom
Uncorrected energy = -7.70 eV/atom

Unit cell a=6.4039 b=6.4039 c=6.4629 alpha=97.06 beta=97.06 gamma=81.33
Positions (direct):
Nd 0.1523 0.1523 0.3417
Nd 0.8477 0.8477 0.6583
Fe 0.0000 0.5000 0.0000
Fe 0.1570 0.1570 0.8378
Fe 0.1656 0.6496 0.3343
Fe 0.2088 0.4982 0.7042
Fe 0.2213 0.7787 0.0000
Fe 0.3504 0.8344 0.6657
Fe 0.4982 0.2088 0.7042
Fe 0.5000 0.0000 0.0000
Fe 0.5018 0.7912 0.2958
Fe 0.6496 0.1656 0.3343
Fe 0.7787 0.2213 0.0000
Fe 0.7912 0.5018 0.2958
Fe 0.8344 0.3504 0.6657
Fe 0.8430 0.8430 0.1622
Si 0.3888 0.3888 0.0744
Si 0.5000 0.5000 0.5000
Si 0.6112 0.6112 0.9256

NdFeSi: optimized geometry, PBE.

Summary:
Formation energy from the elements = -0.28 eV/atom
Uncorrected energy = -6.52 eV/atom

Unit cell a=5.2780 b=3.8580 c=10.4061 alpha=90.00 beta=90.00 gamma=90.00
Positions (direct):
Nd 0.2491 0.2500 0.0288
Nd 0.2509 0.7500 0.5288
Nd 0.7491 0.2500 0.4712
Nd 0.7509 0.7500 0.9712
Fe 0.2459 0.2500 0.3036
Fe 0.2541 0.7500 0.8036
Fe 0.7459 0.2500 0.1964
Fe 0.7541 0.7500 0.6964
Si 0.0031 0.2500 0.7498
Si 0.4969 0.7500 0.2498
Si 0.5031 0.2500 0.7502
Si 0.9969 0.7500 0.2502

NdFeSi: optimized geometry, PBE.

Summary:
Formation energy from the elements = -0.55 eV/atom
Uncorrected energy = -6.79 eV/atom

Unit cell a=4.0619 b=4.0619 c=6.9904 alpha=90.00 beta=90.00 gamma=90.00
Positions (direct):
Nd 0.2500 0.2500 0.1863
Nd 0.7500 0.7500 0.8137
Fe 0.2500 0.7500 0.5000
Fe 0.7500 0.2500 0.5000
Si 0.2500 0.2500 0.6614
Si 0.7500 0.7500 0.3386

What is the formula in the second record?
Nd3Fe29

Among the records above, which one has the highest formation energy from the elements?
Nd2Fe

What is the uncorrected energy in the twelfth record?
-6.79 eV/atom